# FeSb2WC8Se2O8F12

A relaxed FeSb2WC8Se2O8F12 crystal (PBE+U, Materials Project).

- Total magnetic moment: 0.00 μB/f.u.

Geometry as POSCAR:
```
FeSb2WC8Se2O8F12
1.0
12.485 0.000 0.000
0.000 12.238 0.000
0.000 0.712 15.410
Fe Sb W C Se O F
4 8 4 32 8 32 48
Direct
0.461 0.621 0.689
0.961 0.879 0.311
0.039 0.121 0.689
0.539 0.379 0.311
0.528 0.196 0.609
0.768 0.520 0.054
0.972 0.696 0.609
0.232 0.480 0.946
0.472 0.804 0.391
0.268 0.980 0.946
0.028 0.304 0.391
0.732 0.020 0.054
0.081 0.720 0.215
0.581 0.780 0.785
0.919 0.280 0.785
0.419 0.220 0.215
0.355 0.373 0.237
0.159 0.079 0.632
0.170 0.656 0.322
0.944 0.444 0.821
0.031 0.990 0.751
0.766 0.296 0.845
0.544 0.727 0.916
0.531 0.510 0.249
0.341 0.579 0.632
0.044 0.773 0.084
0.266 0.204 0.155
0.645 0.627 0.763
0.556 0.944 0.821
0.444 0.056 0.179
0.056 0.556 0.179
0.948 0.086 0.601
0.841 0.921 0.368
0.659 0.421 0.368
0.830 0.344 0.678
0.234 0.704 0.155
0.145 0.873 0.237
0.734 0.796 0.845
0.969 0.010 0.249
0.330 0.156 0.322
0.670 0.844 0.678
0.448 0.414 0.399
0.456 0.273 0.084
0.552 0.586 0.601
0.855 0.127 0.763
0.052 0.914 0.399
0.956 0.227 0.916
0.469 0.490 0.751
0.371 0.733 0.788
0.438 0.813 0.658
0.938 0.687 0.342
0.871 0.767 0.212
0.629 0.267 0.212
0.562 0.187 0.342
0.062 0.313 0.658
0.129 0.233 0.788
0.317 0.699 0.124
0.475 0.299 0.014
0.522 0.591 0.210
0.951 0.533 0.838
0.478 0.409 0.790
0.702 0.552 0.758
0.022 0.909 0.790
0.975 0.201 0.986
0.280 0.118 0.378
0.613 0.567 0.548
0.735 0.450 0.402
0.720 0.882 0.622
0.887 0.067 0.548
0.183 0.199 0.124
0.549 0.033 0.838
0.220 0.618 0.378
0.235 0.050 0.598
0.765 0.950 0.402
0.817 0.801 0.876
0.451 0.967 0.162
0.113 0.933 0.452
0.780 0.382 0.622
0.798 0.052 0.758
0.298 0.448 0.242
0.265 0.550 0.598
0.049 0.467 0.162
0.387 0.433 0.452
0.978 0.091 0.210
0.525 0.701 0.986
0.202 0.948 0.242
0.683 0.301 0.876
0.025 0.799 0.014
0.444 0.177 0.505
0.833 0.394 0.006
0.472 0.960 0.367
0.295 0.351 0.902
0.205 0.851 0.902
0.346 0.814 0.463
0.135 0.059 0.929
0.308 0.026 0.829
0.556 0.823 0.495
0.167 0.606 0.994
0.028 0.460 0.367
0.619 0.216 0.708
0.705 0.649 0.098
0.795 0.149 0.098
0.027 0.147 0.414
0.192 0.526 0.829
0.056 0.677 0.505
0.723 0.566 0.938
0.901 0.598 0.039
0.846 0.686 0.537
0.401 0.209 0.678
0.692 0.974 0.171
0.473 0.647 0.414
0.599 0.791 0.322
0.808 0.474 0.171
0.777 0.066 0.938
0.099 0.402 0.961
0.654 0.186 0.537
0.865 0.941 0.071
0.119 0.284 0.292
0.223 0.934 0.062
0.333 0.106 0.994
0.099 0.709 0.678
0.944 0.323 0.495
0.381 0.784 0.292
0.667 0.894 0.006
0.635 0.441 0.071
0.599 0.098 0.039
0.277 0.434 0.062
0.154 0.314 0.463
0.401 0.902 0.961
0.528 0.040 0.633
0.972 0.540 0.633
0.881 0.716 0.708
0.901 0.291 0.322
0.365 0.559 0.929
0.527 0.353 0.586
0.973 0.853 0.586
```

=====

# Sr2FeCO3F5

A relaxed Sr2FeCO3F5 crystal (PBE+U, Materials Project).

- Total magnetic moment: 5.00 μB/f.u.

Geometry as POSCAR:
```
Sr2FeCO3F5
1.0
8.948 0.000 0.000
0.000 5.612 0.000
0.000 3.691 13.434
Sr Fe C O F
8 4 4 12 20
Direct
0.891 0.691 0.097
0.360 0.692 0.086
0.860 0.308 0.414
0.391 0.309 0.403
0.609 0.691 0.597
0.140 0.692 0.586
0.640 0.308 0.914
0.109 0.309 0.903
0.872 0.190 0.672
0.372 0.810 0.828
0.628 0.190 0.172
0.128 0.810 0.328
0.376 0.182 0.635
0.876 0.818 0.865
0.124 0.182 0.135
0.624 0.818 0.365
0.380 0.412 0.584
0.370 0.135 0.732
0.878 0.992 0.910
0.120 0.412 0.084
0.378 0.008 0.590
0.870 0.865 0.768
0.130 0.135 0.232
0.622 0.992 0.410
0.880 0.588 0.916
0.122 0.008 0.090
0.630 0.865 0.268
0.620 0.588 0.416
0.963 0.668 0.272
0.283 0.665 0.264
0.130 0.475 0.433
0.630 0.525 0.067
0.513 0.919 0.915
0.717 0.106 0.584
0.783 0.335 0.236
0.463 0.332 0.228
0.217 0.894 0.916
0.013 0.081 0.585
0.987 0.919 0.415
0.783 0.106 0.084
0.537 0.668 0.772
0.217 0.665 0.764
0.283 0.894 0.416
0.487 0.081 0.085
0.370 0.475 0.933
0.870 0.525 0.567
0.717 0.335 0.736
0.037 0.332 0.728
```

=====

# V2PH10C2N2O8F

A relaxed V2PH10C2N2O8F crystal (PBE+U, Materials Project).

- Total magnetic moment: 0.00 μB/f.u.

Geometry as POSCAR:
```
V2PH10C2N2O8F
1.0
-3.748 -0.996 7.462
-5.622 -6.411 -3.680
8.318 -9.003 2.976
V P H C N O F
8 4 40 8 8 32 4
Direct
0.255 0.567 0.106
0.245 0.433 0.606
0.755 0.933 0.894
0.745 0.067 0.394
0.523 0.293 0.004
0.977 0.707 0.504
0.023 0.207 0.996
0.477 0.793 0.496
0.259 0.567 0.364
0.241 0.433 0.864
0.759 0.933 0.636
0.741 0.067 0.136
0.388 0.166 0.678
0.112 0.834 0.178
0.888 0.334 0.322
0.612 0.666 0.822
0.457 0.995 0.693
0.043 0.005 0.193
0.957 0.505 0.307
0.543 0.495 0.807
0.431 0.102 0.799
0.069 0.898 0.299
0.931 0.398 0.201
0.569 0.602 0.701
0.226 0.739 0.913
0.274 0.261 0.413
0.726 0.761 0.087
0.774 0.239 0.587
0.194 0.918 0.935
0.306 0.082 0.435
0.694 0.582 0.065
0.806 0.418 0.565
0.377 0.856 0.899
0.123 0.144 0.399
0.877 0.644 0.101
0.623 0.356 0.601
0.292 0.792 0.727
0.208 0.208 0.227
0.792 0.708 0.273
0.708 0.292 0.773
0.091 0.818 0.762
0.409 0.182 0.262
0.591 0.682 0.238
0.909 0.318 0.738
0.149 0.087 0.788
0.351 0.913 0.288
0.649 0.413 0.212
0.851 0.587 0.712
0.161 0.020 0.657
0.339 0.980 0.157
0.661 0.480 0.343
0.839 0.520 0.843
0.211 0.861 0.774
0.289 0.139 0.274
0.711 0.639 0.226
0.789 0.361 0.726
0.216 0.015 0.736
0.284 0.985 0.236
0.716 0.485 0.264
0.784 0.515 0.764
0.383 0.072 0.726
0.117 0.928 0.226
0.883 0.428 0.274
0.617 0.572 0.774
0.254 0.844 0.888
0.246 0.156 0.388
0.754 0.656 0.112
0.746 0.344 0.612
0.233 0.556 0.947
0.267 0.444 0.447
0.733 0.944 0.053
0.767 0.056 0.553
0.100 0.327 0.880
0.400 0.673 0.380
0.600 0.173 0.120
0.900 0.827 0.620
0.232 0.502 0.754
0.268 0.498 0.254
0.732 0.998 0.246
0.768 0.002 0.746
0.403 0.351 0.872
0.097 0.649 0.372
0.903 0.149 0.128
0.597 0.851 0.628
0.913 0.168 0.378
0.587 0.832 0.878
0.413 0.332 0.622
0.087 0.668 0.122
0.603 0.187 0.394
0.897 0.813 0.894
0.103 0.313 0.606
0.397 0.687 0.106
0.883 0.121 0.921
0.617 0.879 0.421
0.383 0.379 0.079
0.117 0.621 0.579
0.174 0.096 0.010
0.326 0.904 0.510
0.674 0.404 0.990
0.826 0.596 0.490
0.549 0.123 0.917
0.951 0.877 0.417
0.049 0.377 0.083
0.451 0.623 0.583
```

=====

# VH14C4NO2F3

A relaxed VH14C4NO2F3 crystal (PBE+U, Materials Project).

- Total magnetic moment: 0.99 μB/f.u.

Geometry as POSCAR:
```
VH14C4NO2F3
1.0
-7.019 0.000 0.000
2.463 7.832 0.000
-1.047 -3.609 -8.436
V H C N O F
2 28 8 2 4 6
Direct
0.317 0.491 0.632
0.683 0.509 0.368
0.304 0.035 0.418
0.756 0.988 0.852
0.562 0.828 0.053
0.711 0.456 0.988
0.438 0.172 0.947
0.964 0.188 0.867
0.903 0.170 0.616
0.265 0.311 0.334
0.900 0.453 0.838
0.613 0.838 0.244
0.433 0.964 0.772
0.774 0.205 0.018
0.696 0.965 0.582
0.244 0.012 0.148
0.097 0.830 0.384
0.042 0.336 0.385
0.387 0.162 0.756
0.662 0.165 0.564
0.735 0.689 0.666
0.036 0.812 0.133
0.100 0.547 0.162
0.350 0.562 0.204
0.650 0.438 0.796
0.226 0.795 0.982
0.338 0.835 0.436
0.289 0.544 0.012
0.567 0.036 0.228
0.958 0.664 0.615
0.741 0.401 0.860
0.259 0.884 0.373
0.531 0.884 0.180
0.741 0.116 0.627
0.469 0.116 0.820
0.259 0.599 0.140
0.195 0.861 0.109
0.805 0.139 0.891
0.311 0.807 0.201
0.689 0.193 0.799
0.162 0.316 0.418
0.838 0.684 0.582
0.788 0.632 0.262
0.212 0.368 0.738
0.848 0.342 0.319
0.527 0.367 0.525
0.528 0.687 0.778
0.152 0.658 0.681
0.472 0.313 0.222
0.473 0.633 0.475
```

=====

# VH17C4S4O20F12

A relaxed VH17C4S4O20F12 crystal (PBE+U, Materials Project).

- Total magnetic moment: 2.00 μB/f.u.
- E above lowest polymorph: 0.0 kJ per mole of atoms

Geometry as POSCAR:
```
VH17C4S4O20F12
1.0
-7.954 -3.715 -1.659
1.205 -7.033 5.585
-4.686 1.411 7.761
V H C S O F
1 17 4 4 20 12
Direct
0.000 0.000 0.000
0.172 0.250 0.816
0.828 0.750 0.184
0.993 0.317 0.847
0.007 0.683 0.153
0.822 0.902 0.850
0.178 0.098 0.150
0.764 0.080 0.845
0.236 0.920 0.155
0.143 0.820 0.827
0.857 0.180 0.173
0.277 0.934 0.831
0.723 0.066 0.169
0.500 0.500 0.000
0.415 0.311 0.097
0.585 0.689 0.903
0.561 0.319 0.952
0.439 0.681 0.048
0.423 0.782 0.472
0.577 0.218 0.528
0.932 0.709 0.553
0.068 0.291 0.447
0.506 0.826 0.255
0.494 0.174 0.745
0.909 0.639 0.773
0.091 0.361 0.227
0.062 0.221 0.861
0.938 0.779 0.139
0.845 0.998 0.871
0.155 0.002 0.129
0.166 0.906 0.862
0.834 0.094 0.138
0.638 0.721 0.245
0.362 0.279 0.755
0.540 0.993 0.199
0.460 0.007 0.801
0.380 0.789 0.194
0.620 0.211 0.806
0.056 0.672 0.798
0.944 0.328 0.202
0.871 0.474 0.822
0.129 0.526 0.178
0.779 0.737 0.825
0.221 0.263 0.175
0.518 0.359 0.042
0.482 0.641 0.958
0.293 0.870 0.493
0.707 0.130 0.507
0.388 0.629 0.542
0.612 0.371 0.458
0.525 0.819 0.541
0.475 0.181 0.459
0.062 0.648 0.485
0.938 0.352 0.515
0.940 0.867 0.496
0.060 0.133 0.504
0.811 0.664 0.514
0.189 0.336 0.486
```

=====

| no. | DFT formation energy (eV per atom) |
| --- | --- |
| 1 | -1.508 |
| 2 | -3.095 |
| 3 | -1.348 |
| 4 | -0.876 |
| 5 | -1.616 |